Entry 1:
4
Lattice="3.8292 -0.0080 5.6760 1.7297 3.4163 5.6760 -0.0130 -0.0080 6.8469" Properties=species:S:1:pos:R:3 comment="LiErSe2, relaxed, DFT meta-GGA r2SCAN" sg="R-3m (166)" energy_ry_per_atom=-1.337 pbc="T T T"
Li 2.7730 1.7002 9.0994
Er 0.0000 0.0000 0.0000
Se 1.3845 0.8489 4.5434
Se 4.1614 2.5514 13.6555

Entry 2:
52
Lattice="-10.3801 -3.0144 5.3937 1.4756 -6.4469 -0.7632 4.5350 -1.2988 8.0018" Properties=species:S:1:pos:R:3 comment="Cd3As2O8, relaxed, DFT meta-GGA r2SCAN" sg="P2_1/c (14)" energy_ry_per_atom=-0.882 pbc="T T T"
Cd -5.0218 -4.9283 6.2949
Cd 1.1250 -2.2568 6.0899
Cd 0.6522 -5.8318 6.3374
Cd -5.4945 -8.5033 6.5424
Cd -2.5287 -3.7560 8.7497
Cd 0.9327 -2.7609 2.4397
Cd -1.8409 -7.0041 3.8826
Cd -5.3022 -7.9992 10.1926
Cd -1.1259 -7.3230 10.4250
Cd 0.2618 -5.8568 0.3876
Cd -3.2436 -3.4371 2.2073
Cd -4.6313 -4.9033 12.2446
As -2.3364 -6.9921 7.5058
As 2.0666 -6.0151 2.9979
As -2.0331 -3.7680 5.1265
As -6.4361 -4.7450 9.6343
As -6.0773 -2.7220 4.0042
As 3.3256 -4.1305 7.7856
As 1.7078 -8.0381 8.6280
As -7.6951 -6.6296 4.8466
O -1.2810 -6.9321 6.1568
O -6.7495 -8.3288 8.3796
O -3.0885 -3.8280 6.4755
O 2.3799 -2.4313 4.2527
O -1.9267 -5.7980 8.6321
O 0.4342 -0.6889 2.5035
O -2.4428 -4.9621 4.0002
O -4.8037 -10.0712 10.1288
O -2.1067 -8.3912 8.4351
O 0.8631 -4.8989 2.5747
O -2.2628 -2.3689 4.1972
O -5.2326 -5.8612 10.0576
O -3.9496 -6.8902 6.9938
O 1.7341 -6.6821 4.5210
O -0.4199 -3.8699 5.6384
O -6.1036 -4.0780 8.1113
O -3.9785 -7.5932 3.3144
O 4.2422 -5.2591 6.9122
O -0.3910 -3.1669 9.3179
O -8.6117 -5.5010 5.7201
O -8.0964 -8.2727 5.0378
O 0.6652 -6.8142 9.1871
O 3.7269 -2.4874 7.5945
O -5.0347 -3.9459 3.4451
O -3.1973 -7.4541 11.2173
O -1.3899 -6.8070 1.5298
O -1.1723 -3.3060 1.4150
O -2.9796 -3.9531 11.1025
O -6.0598 -6.6045 5.3317
O 2.1260 -7.4668 7.0760
O 1.6903 -4.1556 7.3006
O -6.4956 -3.2933 5.5563

Entry 3:
28
Lattice="-3.8610 3.8597 5.8047 3.8597 -3.8610 5.8047 3.8606 3.8606 -5.8056" Properties=species:S:1:pos:R:3 comment="LaCo9Si4, relaxed, DFT meta-GGA r2SCAN" sg="I4/mcm (140)" energy_ry_per_atom=-0.995 pbc="T T T"
La 3.8594 3.8597 2.9014
La -0.0002 -0.0004 2.9024
Co 2.3375 3.3376 5.8041
Co 0.9822 4.8426 2.0882
Co 2.8774 0.9819 2.0883
Co 2.8770 -0.9834 3.7156
Co 0.9818 2.8773 3.7155
Co -0.9830 4.8422 3.7155
Co 1.5217 0.5216 -0.0004
Co 3.3383 2.3382 -0.0006
Co 4.8422 -0.9829 2.0883
Co 2.3383 4.3814 -0.0007
Co 4.8414 0.9811 3.7155
Co 0.5211 6.1986 -0.0007
Co 1.5209 -0.5222 5.8045
Co 0.5209 1.5210 5.8043
Co 3.3381 -2.3394 5.8045
Co 3.8601 -0.0002 -0.0004
Co -0.9822 2.8781 2.0882
Co 3.8595 -0.0009 5.8041
Si 5.1524 1.2921 1.4340
Si 2.5666 1.2916 7.2389
Si -1.2934 2.5669 7.2389
Si 1.2923 2.5673 1.4342
Si 5.1526 1.2923 -1.4351
Si 1.2925 2.5676 -1.4352
Si -1.2932 2.5671 4.3697
Si 2.5669 1.2919 4.3695

Entry 4:
3
Lattice="-0.7629 2.3039 -3.6738 -2.9455 -2.9614 1.3930 -1.6037 2.4847 1.8912" Properties=species:S:1:pos:R:3 comment="ErAlGa, relaxed, DFT meta-GGA r2SCAN" sg="P-6m2 (187)" energy_ry_per_atom=-1.323 pbc="T T T"
Er -2.2180 -1.2063 -0.2959
Al -2.2923 1.7911 -1.0393
Ga -0.8019 1.2423 0.9456

Entry 5:
24
Lattice="7.5411 -11.2692 0.0000 7.5411 11.2692 0.0000 0.0000 0.0000 3.8505" Properties=species:S:1:pos:R:3 comment="La11In9Ni4, relaxed, DFT meta-GGA r2SCAN" sg="Cmmm (65)" energy_ry_per_atom=-1.814 pbc="T T T"
La 4.7313 0.0000 0.0000
La 10.3509 0.0000 0.0000
La 0.0000 0.0000 0.0000
La 3.7379 3.8199 0.0000
La 11.3442 -3.8199 0.0000
La 3.7379 -3.8199 0.0000
La 11.3442 3.8199 0.0000
La 7.5411 -7.6296 0.0000
La 7.5411 7.6296 0.0000
La 7.5411 -2.8120 0.0000
La 7.5411 2.8120 0.0000
In 9.0544 -5.2791 1.9253
In 6.0277 5.2791 1.9253
In 9.0544 5.2791 1.9253
In 6.0277 -5.2791 1.9253
In 2.2986 1.5482 1.9253
In 12.7836 -1.5482 1.9253
In 2.2986 -1.5482 1.9253
In 12.7836 1.5482 1.9253
In 7.5411 0.0000 1.9253
Ni 5.1917 2.3133 1.9253
Ni 9.8905 -2.3133 1.9253
Ni 5.1917 -2.3133 1.9253
Ni 9.8905 2.3133 1.9253

Entry 6:
24
Lattice="-11.5442 8.7919 -0.3515 -0.4029 -0.8080 -6.9781 -5.8267 -7.7249 -1.8563" Properties=species:S:1:pos:R:3 comment="Rb2ZrTe3, relaxed, DFT meta-GGA r2SCAN" sg="P2_1/c (14)" energy_ry_per_atom=-1.644 pbc="T T T"
Rb -15.0877 2.7895 -6.2546
Rb -7.5867 0.6443 -6.5635
Rb -2.6861 -2.5305 -2.9313
Rb -10.1871 -0.3853 -2.6225
Rb -15.3012 0.5733 -2.5361
Rb -4.9619 2.1390 -3.2428
Rb -2.4726 -0.3143 -6.6499
Rb -12.8118 -1.8799 -5.9432
Zr -10.6346 3.7395 -5.5219
Zr -7.2934 -3.9204 -7.1516
Zr -7.1391 -3.4805 -3.6640
Zr -10.4804 4.1794 -2.0343
Te -12.4994 5.1416 -7.1808
Te -9.2024 -2.4484 -5.6077
Te -5.2744 -4.8826 -2.0052
Te -8.5713 2.7074 -3.5783
Te -12.5840 2.8551 -3.3780
Te -6.4725 -1.0618 -2.3641
Te -5.1898 -2.5961 -5.8079
Te -11.3012 1.3208 -6.8219
Te -10.5115 6.3529 -3.9040
Te -9.3135 -3.9743 -1.8615
Te -7.2622 -6.0939 -5.2819
Te -8.4603 4.2334 -7.3244

Entry 7:
20
Lattice="-4.3992 -4.3992 4.3992 -4.3992 4.3992 -4.3992 4.3992 -4.3992 -4.3992" Properties=species:S:1:pos:R:3 comment="Ga7Pt3, relaxed, DFT meta-GGA r2SCAN" sg="Im-3m (229)" energy_ry_per_atom=-1.765 pbc="T T T"
Ga -4.3992 0.0000 -2.1996
Ga -4.3992 -2.1996 0.0000
Ga -2.1996 0.0000 -4.3992
Ga 0.0000 -2.1996 -4.3992
Ga 0.0000 -4.3992 -2.1996
Ga -2.1996 -4.3992 0.0000
Ga -2.9545 -2.9545 2.9545
Ga -2.9545 2.9545 -2.9545
Ga 2.9545 -2.9545 -2.9545
Ga -1.4447 -1.4447 -1.4447
Ga -1.4447 -1.4447 1.4447
Ga -1.4447 1.4447 -1.4447
Ga 1.4447 -1.4447 -1.4447
Ga -2.9545 -2.9545 -2.9545
Pt 0.0000 0.0000 -3.0011
Pt 0.0000 -5.7974 0.0000
Pt -5.7974 0.0000 0.0000
Pt 0.0000 0.0000 -5.7974
Pt 0.0000 -3.0011 0.0000
Pt -3.0011 0.0000 0.0000

Entry 8:
88
Lattice="9.2328 0.0000 0.0000 0.0000 10.3088 0.0000 0.0000 0.0000 17.4376" Properties=species:S:1:pos:R:3 comment="CaS2Cl2O6, relaxed, DFT meta-GGA r2SCAN" sg="Pbca (61)" energy_ry_per_atom=-0.601 pbc="T T T"
Ca 5.9067 4.1590 6.4916
Ca 7.9425 9.3134 10.9460
Ca 5.9067 9.3134 2.2272
Ca 1.2903 0.9954 6.4916
Ca 3.3261 6.1498 10.9460
Ca 1.2903 6.1498 2.2272
Ca 7.9425 4.1590 15.2104
Ca 3.3261 0.9954 15.2104
S 0.2768 6.7048 13.0022
S 2.0663 3.9883 16.8928
S 8.9560 3.6040 4.4354
S 4.3396 1.5504 4.4354
S 2.5501 3.9883 8.1740
S 2.0663 9.1428 9.2636
S 8.9560 8.7585 4.2834
S 4.3396 6.7048 4.2834
S 0.2768 1.5504 13.1542
S 7.1665 1.1661 8.1740
S 6.6827 6.3205 9.2636
S 2.5501 9.1428 0.5448
S 4.8932 3.6040 13.1542
S 4.8932 8.7585 13.0022
S 6.6827 1.1661 16.8928
S 7.1665 6.3205 0.5448
Cl 7.9548 5.0370 10.1990
Cl 3.5149 2.6776 2.9546
Cl 3.3384 0.1174 10.1990
Cl 5.7179 2.4768 11.6734
Cl 8.1313 7.6312 5.7642
Cl 5.7179 7.6312 14.4830
Cl 1.1015 2.6776 11.6734
Cl 1.1015 7.8321 14.4830
Cl 8.1313 2.4768 2.9546
Cl 1.2780 0.1174 1.4802
Cl 5.8944 10.1914 7.2387
Cl 7.9548 10.1914 15.9575
Cl 1.2780 5.2718 7.2387
Cl 3.3384 5.2718 15.9575
Cl 5.8944 5.0370 1.4802
Cl 3.5149 7.8321 5.7642
O 7.2624 2.4747 16.7131
O 5.2425 2.4430 5.1139
O 8.8432 5.6302 13.6886
O 2.5528 4.4295 9.5515
O 0.7997 9.3229 9.9288
O 6.6800 5.8793 7.8862
O 5.0059 0.4758 3.7491
O 8.4331 6.1404 1.2100
O 0.7997 4.1685 16.2277
O 7.8484 4.0400 5.2476
O 2.6460 7.8341 9.4433
O 5.0059 5.6302 4.9698
O 7.1692 5.8793 16.6050
O 3.8167 4.1685 7.5088
O 8.8432 0.4758 12.4679
O 5.2425 7.5974 3.6049
O 5.4161 0.9860 16.2277
O 1.3844 6.2688 12.1900
O 0.3895 4.6787 3.7491
O 6.5868 7.6292 0.7245
O 1.3844 1.1144 13.9664
O 2.6460 2.6797 16.7131
O 3.2320 6.2688 3.4712
O 7.2624 7.6292 9.4433
O 8.4331 0.9860 7.5088
O 3.9903 7.8659 12.3237
O 0.6261 2.7114 5.1139
O 3.8167 9.3229 1.2100
O 2.0636 9.5839 7.8862
O 3.9903 2.7114 13.8327
O 2.0636 4.4295 0.8326
O 5.4161 6.1404 9.9288
O 6.5868 2.4747 7.9943
O 2.5528 9.5839 16.6050
O 4.2269 9.8331 13.6886
O 1.9704 2.6797 7.9943
O 6.0008 4.0400 13.9664
O 0.6261 7.8659 3.6049
O 0.3895 9.8331 4.9698
O 6.6800 0.7249 0.8326
O 1.9704 7.8341 0.7245
O 6.0008 9.1944 12.1900
O 8.6067 2.4430 13.8327
O 8.6067 7.5974 12.3237
O 7.8484 9.1944 3.4712
O 4.2269 4.6787 12.4679
O 7.1692 0.7249 9.5515
O 3.2320 1.1144 5.2476

Entry 9:
40
Lattice="-5.6131 1.4832 8.9176 3.3645 -9.3999 3.6812 4.3275 2.4557 2.3155" Properties=species:S:1:pos:R:3 comment="Tb2Mn3Si5, relaxed, DFT meta-GGA r2SCAN" sg="P4/mnc (128)" energy_ry_per_atom=-1.151 pbc="T T T"
Tb 0.3781 -2.1250 1.5470
Tb -0.1835 -0.3823 7.2523
Tb -0.0429 -3.0850 9.8560
Tb -2.6267 -5.7917 11.0517
Tb 2.2624 -5.0788 7.6619
Tb 1.7757 -8.3396 5.5260
Tb -4.0243 0.4229 7.0728
Tb 2.1218 -2.3760 5.0582
Mn -2.3154 1.2203 9.5370
Mn -1.3166 -5.0987 7.8681
Mn -0.9321 -2.8180 4.7307
Mn 1.7756 0.3249 2.8407
Mn -2.3074 -2.6403 7.1126
Mn 0.4391 2.5834 6.1954
Mn 0.0588 -5.2765 5.4862
Mn 0.3032 -5.7860 12.0735
Mn 4.3942 -6.6813 5.3772
Mn -1.7247 1.3555 5.0376
Mn 2.7641 -4.0860 2.4195
Mn 4.9279 -2.8582 3.5772
Si 3.2793 1.8609 1.7546
Si 0.0657 -6.1362 9.6370
Si 0.0561 -6.9544 7.2706
Si -2.8230 -3.6906 9.1900
Si 3.6864 -7.5044 7.5730
Si -1.0265 -3.7560 12.4059
Si 0.5743 -4.2262 3.4087
Si 2.2295 -4.9084 10.7947
Si 2.3699 -5.4741 4.6284
Si 3.1054 -1.7051 2.5084
Si 2.0876 -2.1357 8.0179
Si 4.5336 -4.2463 5.7862
Si 2.0131 0.6752 5.2773
Si -0.1506 -0.5526 4.1195
Si -0.0087 -3.3253 6.8963
Si -2.3048 -0.9623 5.3281
Si -0.2910 0.0131 10.2858
Si 1.0481 0.5948 0.5608
Si -1.6076 2.0433 7.3413
Si -2.4547 -1.2148 9.1281

Entry 10:
10
Lattice="0.0000 4.0102 4.0102 4.0102 0.0000 4.0102 4.0102 4.0102 0.0000" Properties=species:S:1:pos:R:3 comment="CaY2TiO6, relaxed, DFT meta-GGA r2SCAN" sg="Fm-3m (225)" energy_ry_per_atom=-0.932 pbc="T T T"
Ca 0.0000 0.0000 0.0000
Y 2.0051 2.0051 2.0051
Y 6.0153 6.0153 6.0153
Ti 4.0102 4.0102 4.0102
O 2.1118 4.0102 4.0102
O 5.9085 4.0102 4.0102
O 4.0102 2.1118 4.0102
O 4.0102 5.9085 4.0102
O 4.0102 4.0102 2.1118
O 4.0102 4.0102 5.9085

Entry 11:
3
Lattice="0.0000 3.1159 3.1159 3.1159 0.0000 3.1159 3.1159 3.1159 0.0000" Properties=species:S:1:pos:R:3 comment="YbNiSb, relaxed, DFT meta-GGA r2SCAN" sg="F-43m (216)" energy_ry_per_atom=-1.892 pbc="T T T"
Yb 3.1159 3.1159 3.1159
Ni 1.5579 1.5579 1.5579
Sb 0.0000 0.0000 0.0000

Entry 12:
4
Lattice="-2.7440 -2.6243 -3.8777 -5.3765 0.6153 -0.4095 -2.1056 2.7569 -4.1735" Properties=species:S:1:pos:R:3 comment="PrErMg2, relaxed, DFT meta-GGA r2SCAN" sg="Fm-3m (225)" energy_ry_per_atom=-1.324 pbc="T T T"
Pr -7.6695 0.5610 -6.3455
Er -2.5565 0.1870 -2.1152
Mg 0.0000 0.0000 0.0000
Mg -5.1130 0.3740 -4.2304

Entry 13:
6
Lattice="-2.0268 2.1101 7.0593 2.0268 -2.1101 7.0593 2.0268 2.1101 -7.0593" Properties=species:S:1:pos:R:3 comment="Th2FeSi3, relaxed, DFT meta-GGA r2SCAN" sg="Imm2 (44)" energy_ry_per_atom=-2.346 pbc="T T T"
Th 0.0000 2.1101 3.5702
Th 0.0000 0.0000 0.0421
Fe 2.0268 0.0000 2.2960
Si 0.0000 0.0000 8.3107
Si 2.0268 0.0000 4.5965
Si 0.0000 0.0000 5.8922